First-principles (GGA+U) data for a geometry-optimized MgFeSiO5 structure, as listed in Materials Project.

a = 5.343 Å, b = 5.343 Å, c = 6.930 Å
α = 75.20°, β = 75.20°, γ = 105.23°
Element x y z (fractional)
Mg: 0.831 0.169 0.750
Mg: 0.169 0.831 0.250
Fe: 0.500 0.500 0.500
Fe: 0.500 0.500 0.000
Si: 0.174 0.826 0.750
Si: 0.826 0.174 0.250
O: 0.395 0.830 0.875
O: 0.170 0.605 0.625
O: 0.605 0.170 0.125
O: 0.830 0.395 0.375
O: 0.780 0.864 0.411
O: 0.136 0.220 0.089
O: 0.220 0.136 0.589
O: 0.864 0.780 0.911
O: 0.415 0.585 0.250
O: 0.585 0.415 0.750

For the distance to the lowest polymorph of the same formula, the calculation gives 3 meV/atom. As for the symmetry: No. 15.

=====

First-principles (GGA+U) data for a geometry-optimized Mg3FeSi2O8 structure, as listed in Materials Project.

a = 10.381 Å, b = 4.848 Å, c = 7.751 Å
α = 51.57°, β = 90.00°, γ = 90.00°
Element x y z (fractional)
Mg: 0.500 0.000 0.500
Mg: 0.000 0.000 0.000
Mg: 0.778 0.260 0.249
Mg: 0.278 0.740 0.251
Mg: 0.222 0.740 0.751
Mg: 0.722 0.260 0.749
Fe: 0.500 0.500 0.000
Fe: 0.000 0.500 0.500
Si: 0.595 0.823 0.251
Si: 0.095 0.177 0.249
Si: 0.405 0.177 0.749
Si: 0.905 0.823 0.751
O: 0.593 0.482 0.253
O: 0.093 0.518 0.247
O: 0.407 0.518 0.747
O: 0.907 0.482 0.753
O: 0.948 0.040 0.246
O: 0.448 0.960 0.254
O: 0.052 0.960 0.754
O: 0.552 0.040 0.746
O: 0.666 0.180 0.035
O: 0.166 0.820 0.465
O: 0.337 0.244 0.533
O: 0.837 0.756 0.967
O: 0.334 0.820 0.965
O: 0.834 0.180 0.535
O: 0.663 0.756 0.467
O: 0.163 0.244 0.033

As for the symmetry: No. 14.

=====

First-principles (GGA+U) data for a geometry-optimized Mg3Fe2Si4O14 structure, as listed in Materials Project.

a = 9.256 Å, b = 9.256 Å, c = 10.005 Å
α = 59.51°, β = 59.51°, γ = 48.84°
Element x y z (fractional)
Mg: 0.069 0.268 0.111
Mg: 0.732 0.931 0.389
Mg: 0.268 0.069 0.611
Mg: 0.395 0.605 0.750
Mg: 0.931 0.732 0.889
Mg: 0.605 0.395 0.250
Fe: 0.799 0.201 0.750
Fe: 0.201 0.799 0.250
Fe: 0.000 0.000 0.000
Fe: 0.000 0.000 0.500
Si: 0.545 0.087 0.706
Si: 0.087 0.545 0.206
Si: 0.518 0.248 0.101
Si: 0.248 0.518 0.601
Si: 0.913 0.455 0.794
Si: 0.482 0.752 0.899
Si: 0.752 0.482 0.399
Si: 0.455 0.913 0.294
O: 0.830 0.305 0.330
O: 0.957 0.889 0.419
O: 0.457 0.636 0.089
O: 0.889 0.957 0.919
O: 0.239 0.973 0.304
O: 0.066 0.504 0.627
O: 0.636 0.457 0.589
O: 0.027 0.761 0.196
O: 0.934 0.496 0.373
O: 0.619 0.685 0.275
O: 0.043 0.111 0.581
O: 0.761 0.027 0.696
O: 0.496 0.934 0.873
O: 0.305 0.830 0.830
O: 0.685 0.619 0.775
O: 0.973 0.239 0.804
O: 0.920 0.482 0.938
O: 0.381 0.315 0.725
O: 0.518 0.080 0.562
O: 0.315 0.381 0.225
O: 0.504 0.066 0.127
O: 0.111 0.043 0.081
O: 0.482 0.920 0.438
O: 0.543 0.364 0.911
O: 0.080 0.518 0.062
O: 0.364 0.543 0.411
O: 0.695 0.170 0.170
O: 0.170 0.695 0.670

As for the symmetry: No. 15.

=====

First-principles (GGA+U) data for a geometry-optimized Mg2Fe5Si8O24 structure, as listed in Materials Project.

a = 10.362 Å, b = 10.362 Å, c = 5.379 Å
α = 84.64°, β = 84.64°, γ = 124.31°
Element x y z (fractional)
Mg: 0.999 0.001 0.000
Mg: 0.821 0.179 0.000
Fe: 0.741 0.259 0.500
Fe: 0.259 0.741 0.500
Fe: 0.179 0.821 0.000
Fe: 0.922 0.078 0.500
Fe: 0.078 0.922 0.500
Si: 0.202 0.370 0.729
Si: 0.370 0.203 0.729
Si: 0.797 0.630 0.271
Si: 0.630 0.798 0.271
Si: 0.129 0.463 0.225
Si: 0.465 0.130 0.225
Si: 0.870 0.535 0.775
Si: 0.537 0.871 0.775
O: 0.340 0.341 0.728
O: 0.659 0.660 0.272
O: 0.137 0.623 0.232
O: 0.626 0.138 0.228
O: 0.862 0.374 0.772
O: 0.377 0.863 0.768
O: 0.229 0.469 0.451
O: 0.472 0.231 0.452
O: 0.769 0.528 0.548
O: 0.531 0.771 0.549
O: 0.104 0.104 0.298
O: 0.896 0.896 0.702
O: 0.024 0.202 0.789
O: 0.201 0.027 0.787
O: 0.973 0.799 0.213
O: 0.798 0.976 0.211
O: 0.218 0.477 0.944
O: 0.477 0.218 0.944
O: 0.782 0.523 0.056
O: 0.523 0.782 0.056
O: 0.951 0.292 0.286
O: 0.294 0.954 0.294
O: 0.046 0.706 0.706
O: 0.708 0.049 0.714

As for the symmetry: No. 5.

=====

Number 1: E_form -19.3 eV per formula unit, total DFT energy (no corrections) -107.686 eV for the cell shown, calculated volume 173.2 Å³ per cell. Number 2: E_form -41.9 eV per formula unit, total DFT energy (no corrections) -195.623 eV for the cell shown, calculated volume 305.6 Å³ per cell. Number 3: E_form -64.6 eV per formula unit, total DFT energy (no corrections) -326.364 eV for the cell shown, calculated volume 535.8 Å³ per cell. Number 4: E_form -108.2 eV per formula unit, total DFT energy (no corrections) -288.096 eV for the cell shown, calculated volume 467.5 Å³ per cell.